A relaxed structure of ThNb4O12. Source: the Materials Project, functional PBE.

The space group is Pmm2 (No. 25) and the conventional cell measures 5.6047, 7.9066 and 5.5762 Å, with angles of 90.00, 90.00 and 90.00 degrees. The asymmetric unit holds Th at (0.0000, 0.0000, 0.0000), Nb at (0.0000, 0.2590, 0.4987), Nb at (0.5000, 0.2588, 0.9982), O at (0.0000, 0.0000, 0.4110), O at (0.0000, 0.5000, 0.5532), O at (0.2329, 0.1976, 0.7565), O at (0.2425, 0.2638, 0.2349), O at (0.5000, 0.0000, 0.0459) and O at (0.5000, 0.5000, 0.9229).

The calculation puts the polymorph energy (0 for the lowest one) at 28 meV per atom. The formation energy comes out at -3214 meV per atom. As for the theoretical density: 5.347 g/cm3. The magnetization comes out at 0.00 μB per cell. The total energy after the MP2020 corrections is -9.520 eV/atom.